Material: Li5Mn3V2O10
Method: DFT, GGA+U
State: relaxed

```
Li5Mn3V2O10
1.0
-1.1660 5.1211 -0.1188
-1.5645 -2.6494 7.2605
10.3989 0.1816 0.2430
Li Mn V O
10 6 4 20
direct
0.5000 0.5000 0.2500
0.4999 0.5000 0.7500
0.9006 0.3974 0.1004
0.9006 0.3975 0.6004
0.0993 0.6026 0.3996
0.0993 0.6025 0.8996
0.2912 0.7768 0.1904
0.2911 0.7769 0.6905
0.7089 0.2231 0.3095
0.7088 0.2231 0.8095
0.5000 0.0000 0.4999
0.8910 0.9003 0.8472
0.1089 0.0992 0.1526
0.5004 0.0003 0.0002
0.8917 0.9006 0.3472
0.1087 0.0994 0.6529
0.7049 0.6874 0.5517
0.2949 0.3128 0.4482
0.7049 0.6874 0.0517
0.2949 0.3125 0.9482
0.0703 0.8324 0.0250
0.0704 0.8324 0.5251
0.9297 0.1676 0.4749
0.9297 0.1675 0.9749
0.6850 0.9358 0.1603
0.6848 0.9358 0.6603
0.3153 0.0643 0.3397
0.3151 0.0642 0.8398
0.3274 0.5408 0.0689
0.3274 0.5408 0.5688
0.6726 0.4593 0.4312
0.6725 0.4592 0.9312
0.4933 0.2370 0.1053
0.4933 0.2370 0.6053
0.5069 0.7632 0.3948
0.5067 0.7631 0.8948
0.8831 0.6543 0.2106
0.8831 0.6543 0.7105
0.1169 0.3456 0.2894
0.1168 0.3456 0.7894
```

The MP2020-corrected energy is -301.2 eV per cell. The calculation puts the offset from the most stable computed form at 0.000 eV per atom. The formation enthalpy at 0 K comes out at -2.29 eV/atom. For the magnetization, the calculation gives 0.000 μB per atom.